Record 1
Material: Sr2NiMoO6
Method: DFT, PBE+U
State: optimized geometry

Output
* offset from the most stable computed form: 11 meV/atom
* uncorrected energy: -64.53 eV per cell
* total moment: 2.0 μB/cell

Cell and atoms, written as POSCAR:
```
Sr2NiMoO6
1.0
-4.681 1.758 2.615
-3.545 3.519 -2.624
-5.050 -1.842 -1.714
O Mo Sr Ni
6 1 2 1
Direct
0.743 0.743 0.257
0.257 0.743 0.743
0.743 0.257 0.257
0.743 0.257 0.743
0.257 0.743 0.257
0.257 0.257 0.743
0.500 0.500 0.500
0.250 0.250 0.250
0.750 0.750 0.750
0.000 0.000 0.000
```

***

Record 2
Material: Sr2NiMoO6
Method: DFT, PBE+U
State: optimized geometry

Output
* offset from the most stable computed form: 0 meV/atom
* uncorrected energy: -129.27 eV per cell
* total moment: 0.0 μB/cell

Cell and atoms, written as POSCAR:
```
Sr2NiMoO6
1.0
4.861 0.000 -2.805
-1.595 4.617 2.851
6.504 -4.550 5.656
Sr O Mo Ni
4 12 2 2
Direct
0.375 0.625 0.875
0.125 0.875 0.625
0.875 0.125 0.375
0.625 0.375 0.125
0.658 0.859 0.141
0.121 0.363 0.121
0.682 0.400 0.600
0.879 0.637 0.879
0.158 0.359 0.641
0.342 0.141 0.859
0.379 0.137 0.379
0.318 0.600 0.400
0.842 0.641 0.359
0.818 0.100 0.900
0.621 0.863 0.621
0.182 0.900 0.100
0.000 0.000 0.000
0.500 0.500 0.500
0.250 0.750 0.250
0.750 0.250 0.750
```

***

Record 3
Material: Ni3Te2MoO10
Method: DFT, PBE+U
State: optimized geometry

Output
* uncorrected energy: -364.28 eV per cell
* total moment: 24.0 μB/cell

Cell and atoms, written as POSCAR:
```
Ni3Te2MoO10
1.0
5.021 0.000 0.000
0.000 10.335 0.000
0.000 0.000 17.946
Ni Te O Mo
12 8 40 4
Direct
0.297 0.783 0.566
0.752 0.536 0.271
0.797 0.717 0.434
0.252 0.964 0.729
0.248 0.036 0.229
0.749 0.111 0.783
0.203 0.217 0.066
0.748 0.464 0.771
0.251 0.611 0.717
0.751 0.889 0.283
0.703 0.283 0.934
0.249 0.389 0.217
0.306 0.964 0.416
0.692 0.781 0.815
0.194 0.036 0.916
0.694 0.464 0.084
0.192 0.719 0.185
0.308 0.281 0.685
0.806 0.536 0.584
0.808 0.219 0.315
0.573 0.848 0.381
0.920 0.477 0.170
0.922 0.940 0.181
0.422 0.578 0.209
0.073 0.652 0.619
0.084 0.917 0.627
0.584 0.583 0.373
0.073 0.145 0.715
0.422 0.560 0.819
0.114 0.650 0.950
0.902 0.339 0.030
0.573 0.355 0.285
0.402 0.161 0.970
0.614 0.850 0.050
0.886 0.150 0.550
0.047 0.211 0.231
0.078 0.440 0.319
0.927 0.645 0.785
0.916 0.417 0.873
0.578 0.078 0.291
0.070 0.577 0.456
0.427 0.348 0.119
0.580 0.523 0.670
0.078 0.422 0.709
0.386 0.350 0.450
0.598 0.661 0.530
0.420 0.023 0.830
0.453 0.789 0.731
0.547 0.289 0.769
0.427 0.855 0.215
0.953 0.711 0.269
0.922 0.922 0.791
0.570 0.923 0.544
0.927 0.152 0.881
0.430 0.423 0.956
0.080 0.977 0.330
0.098 0.839 0.470
0.416 0.083 0.127
0.578 0.060 0.681
0.930 0.077 0.044
0.794 0.015 0.601
0.206 0.515 0.899
0.706 0.985 0.101
0.294 0.485 0.399
```

***

Record 4
Material: Ni3TeMo6O42
Method: DFT, PBE+U
State: optimized geometry

Output
* uncorrected energy: -518.49 eV per cell
* total moment: 1.0 μB/cell

Cell and atoms, written as POSCAR:
```
Ni3TeMo6O42
1.0
7.644 -8.858 0.000
7.644 8.858 0.000
-2.621 0.000 11.403
Te O Mo Ni
2 84 12 6
Direct
0.000 0.000 0.000
0.500 0.500 0.500
0.798 0.812 0.477
0.852 0.678 0.849
0.354 0.991 0.862
0.828 0.568 0.332
0.148 0.322 0.151
0.977 0.312 0.298
0.298 0.977 0.312
0.509 0.146 0.638
0.517 0.361 0.028
0.168 0.932 0.672
0.491 0.854 0.362
0.322 0.151 0.148
0.137 0.841 0.187
0.493 0.668 0.517
0.178 0.352 0.349
0.659 0.363 0.313
0.312 0.298 0.977
0.328 0.832 0.068
0.341 0.637 0.687
0.993 0.017 0.168
0.009 0.138 0.646
0.687 0.341 0.637
0.672 0.168 0.932
0.861 0.017 0.528
0.702 0.023 0.688
0.472 0.139 0.983
0.668 0.172 0.432
0.678 0.849 0.852
0.017 0.528 0.861
0.651 0.822 0.648
0.352 0.349 0.178
0.863 0.159 0.813
0.363 0.313 0.659
0.432 0.668 0.172
0.862 0.354 0.991
0.332 0.483 0.507
0.483 0.639 0.972
0.668 0.517 0.493
0.972 0.483 0.639
0.832 0.007 0.983
0.361 0.028 0.517
0.023 0.688 0.702
0.841 0.187 0.137
0.832 0.068 0.328
0.188 0.523 0.202
0.507 0.332 0.483
0.854 0.362 0.491
0.151 0.148 0.322
0.017 0.168 0.993
0.068 0.328 0.832
0.648 0.651 0.822
0.637 0.687 0.341
0.007 0.983 0.832
0.568 0.332 0.828
0.812 0.477 0.798
0.146 0.638 0.509
0.638 0.509 0.146
0.139 0.983 0.472
0.138 0.646 0.009
0.639 0.972 0.483
0.813 0.863 0.159
0.362 0.491 0.854
0.168 0.993 0.017
0.983 0.472 0.139
0.688 0.702 0.023
0.646 0.009 0.138
0.159 0.813 0.863
0.517 0.493 0.668
0.528 0.861 0.017
0.028 0.517 0.361
0.349 0.178 0.352
0.849 0.852 0.678
0.983 0.832 0.007
0.932 0.672 0.168
0.991 0.862 0.354
0.822 0.648 0.651
0.483 0.507 0.332
0.172 0.432 0.668
0.477 0.798 0.812
0.187 0.137 0.841
0.523 0.202 0.188
0.332 0.828 0.568
0.202 0.188 0.523
0.313 0.659 0.363
0.968 0.823 0.199
0.032 0.177 0.801
0.823 0.199 0.968
0.199 0.968 0.823
0.532 0.301 0.677
0.301 0.677 0.532
0.177 0.801 0.032
0.801 0.032 0.177
0.699 0.323 0.468
0.468 0.699 0.323
0.677 0.532 0.301
0.323 0.468 0.699
0.420 0.250 0.080
0.580 0.750 0.920
0.920 0.580 0.750
0.750 0.920 0.580
0.250 0.080 0.420
0.080 0.420 0.250
```

***

no.,density (g cm⁻³)
1,5.6
2,5.6
3,4.9
4,3.3